Computed, not measured: a relaxed CuSe2Br crystal at the r²SCAN level of DFT.

Structure (POSCAR):
```
CuSe2Br
1.0
-0.565 -0.534 4.815
4.298 -6.604 -0.229
7.659 8.201 1.808
Cu Se Br
4 8 4
Direct
0.638 0.064 0.250
0.138 0.436 0.250
0.362 0.936 0.750
0.862 0.564 0.750
0.028 0.145 0.840
0.528 0.355 0.660
0.972 0.855 0.160
0.472 0.645 0.340
0.805 0.583 0.162
0.305 0.917 0.338
0.195 0.417 0.838
0.695 0.083 0.662
0.612 0.796 0.887
0.112 0.704 0.613
0.388 0.204 0.113
0.888 0.296 0.387
```

- size of the total moment (μB per atom) = 0.00
- DFT total energy (eV/atom) = -13.44
- calculated formation energy (meV/atom) = -258
- space group = P2_1/c, No. 14